# 1
Below is a geometry-optimized Si4O9 structure, with properties calculated at the GGA-PBE level.

Properties
Energy of formation ... -36.04 eV/f.u.

The structure in CIF format:
```
data_Si4O9
_cell_length_a 7.5122
_cell_length_b 7.5122
_cell_length_c 30.0754
_cell_angle_alpha 90.00
_cell_angle_beta 90.00
_cell_angle_gamma 90.00
_symmetry_space_group_name_H-M 'I 41/a m d'
_symmetry_Int_Tables_number 141
loop_
_symmetry_equiv_pos_as_xyz
'x,y,z'
'-x,-y,-z'
'-y+1/4,x+3/4,z+1/4'
'y+1/4,-x+3/4,-z+1/4'
'-x+1/2,-y,z+1/2'
'x+1/2,y,-z+1/2'
'y+1/4,-x+1/4,z+3/4'
'-y+1/4,x+1/4,-z+3/4'
'x,-y,-z'
'-x,y,z'
'-y+1/4,-x+1/4,-z+3/4'
'y+1/4,x+1/4,z+3/4'
'-x+1/2,y,-z+1/2'
'x+1/2,-y,z+1/2'
'y+1/4,x+3/4,-z+1/4'
'-y+1/4,-x+3/4,z+1/4'
'x+1/2,y+1/2,z+1/2'
'-x+1/2,-y+1/2,-z+1/2'
'-y+3/4,x+1/4,z+3/4'
'y+3/4,-x+1/4,-z+3/4'
'-x,-y+1/2,z'
'x,y+1/2,-z'
'y+3/4,-x+3/4,z+1/4'
'-y+3/4,x+3/4,-z+1/4'
'x+1/2,-y+1/2,-z+1/2'
'-x+1/2,y+1/2,z+1/2'
'-y+3/4,-x+3/4,-z+1/4'
'y+3/4,x+3/4,z+1/4'
'-x,y+1/2,-z'
'x,-y+1/2,z'
'y+3/4,x+1/4,-z+3/4'
'-y+3/4,-x+1/4,z+3/4'
loop_
_atom_site_label
_atom_site_fract_x
_atom_site_fract_y
_atom_site_fract_z
_atom_site_occupancy
Si1 0.0000 0.0442 0.3021 1
Si2 0.2065 0.0435 0.8750 1
O1 0.0000 0.0087 0.8625 1
O2 0.0000 0.0991 0.7404 1
O3 0.0000 0.2500 0.2836 1
O4 0.1770 0.0137 0.3320 1
```

***

# 2
Below is a geometry-optimized Si48O107 structure, with properties calculated at the GGA-PBE level.

Properties
Energy of formation ... -442.60 eV/f.u.

The structure in CIF format:
```
data_Si48O107
_cell_length_a 17.3489
_cell_length_b 17.3556
_cell_length_c 24.5579
_cell_angle_alpha 90.00
_cell_angle_beta 90.00
_cell_angle_gamma 90.00
_symmetry_space_group_name_H-M 'I m m 2'
_symmetry_Int_Tables_number 44
loop_
_symmetry_equiv_pos_as_xyz
'x,y,z'
'-x,-y,z'
'-x,y,z'
'x,-y,z'
'x+1/2,y+1/2,z+1/2'
'-x+1/2,-y+1/2,z+1/2'
'-x+1/2,y+1/2,z+1/2'
'x+1/2,-y+1/2,z+1/2'
loop_
_atom_site_label
_atom_site_fract_x
_atom_site_fract_y
_atom_site_fract_z
_atom_site_occupancy
Si1 0.0883 0.0895 0.0000 1
Si2 0.0883 0.4106 0.3924 1
Si3 0.0894 0.0883 0.6424 1
Si4 0.0894 0.4117 0.7500 1
Si5 0.0899 0.2324 0.5706 1
Si6 0.0900 0.2677 0.8218 1
Si7 0.1783 0.1794 0.9100 1
Si8 0.1782 0.3206 0.4824 1
Si9 0.1794 0.1783 0.7324 1
Si10 0.1793 0.3217 0.6600 1
Si11 0.2324 0.0900 0.0718 1
Si12 0.2323 0.4100 0.3206 1
O1 0.0000 0.0000 0.1444 1
O2 0.0000 0.0000 0.8212 1
O3 0.0000 0.0976 0.6623 1
O4 0.0000 0.1071 0.0183 1
O5 0.0000 0.2441 0.5543 1
O6 0.0000 0.2559 0.8379 1
O7 0.0000 0.3932 0.3740 1
O8 0.0000 0.4025 0.7302 1
O9 0.0000 0.5000 0.5710 1
O10 0.0974 0.5000 0.4123 1
O11 0.0976 0.0000 0.9804 1
O12 0.1059 0.1439 0.5902 1
O13 0.1060 0.3560 0.8022 1
O14 0.1068 0.0000 0.6240 1
O15 0.1068 0.5000 0.7684 1
O16 0.1103 0.2077 0.7725 1
O17 0.1103 0.2922 0.6200 1
O18 0.1113 0.1447 0.9493 1
O19 0.1112 0.3551 0.4432 1
O20 0.1439 0.1062 0.0522 1
O21 0.1437 0.2494 0.5178 1
O22 0.1435 0.2506 0.8748 1
O23 0.1439 0.3939 0.3402 1
O24 0.1448 0.1112 0.6932 1
O25 0.1448 0.3889 0.6991 1
O26 0.1768 0.1767 0.3212 1
O27 0.1766 0.3233 0.0712 1
O28 0.2078 0.1103 0.8700 1
O29 0.2078 0.3899 0.5224 1
O30 0.2120 0.2501 0.6964 1
O31 0.2440 0.0000 0.0880 1
O32 0.2440 0.5000 0.3045 1
O33 0.2494 0.1436 0.1246 1
O34 0.2494 0.3565 0.2677 1
O35 0.2500 0.2121 0.9462 1
```

***

# 3
Below is a geometry-optimized SiO structure, with properties calculated at the GGA-PBE level.

Properties
Energy of formation ... -4.09 eV/f.u.

The structure in CIF format:
```
data_SiO
_cell_length_a 4.5330
_cell_length_b 4.5330
_cell_length_c 9.5663
_cell_angle_alpha 90.00
_cell_angle_beta 90.00
_cell_angle_gamma 120.00
_symmetry_space_group_name_H-M 'P 64 2 2'
_symmetry_Int_Tables_number 181
_symmetry_space_group_name_Hall 'P 64 2 (0 0 2)'
loop_
_atom_site_label
_atom_site_fract_x
_atom_site_fract_y
_atom_site_fract_z
_atom_site_occupancy
Si1 0.0000 0.5000 0.0593 1
O1 0.1688 0.3375 0.5000 1
```

***

Number 1: magnetic moment 16.00 μB per cell. Number 2: magnetic moment 28.00 μB per cell. Number 3: magnetic moment 0.00 μB per cell.